{"formula": "AcPm3", "functional": "r2SCAN", "state": "relaxed", "cell": [[-2.665, 2.665, 5.231], [2.665, -2.665, 5.231], [2.665, 2.665, -5.231]], "species": ["Ac", "Pm", "Pm", "Pm"], "frac_coords": [[0.000, 0.000, 0.000], [0.250, 0.750, 0.500], [0.500, 0.500, 0.000], [0.750, 0.250, 0.500]], "formation_energy_ev_per_fu": 0.17, "de_polymorph_mev_per_atom": 3.8}


{"formula": "Ac3Pm", "functional": "r2SCAN", "state": "relaxed", "cell": [[7.978, 0.000, 0.000], [-3.989, 6.909, 0.000], [0.000, 0.000, 6.285]], "species": ["Ac", "Ac", "Ac", "Ac", "Ac", "Ac", "Pm", "Pm"], "frac_coords": [[0.169, 0.339, 0.250], [0.169, 0.831, 0.250], [0.339, 0.169, 0.750], [0.661, 0.831, 0.250], [0.831, 0.169, 0.750], [0.831, 0.661, 0.750], [0.333, 0.667, 0.750], [0.667, 0.333, 0.250]], "formation_energy_ev_per_fu": 0.15}


{"formula": "AcPm3", "functional": "r2SCAN", "state": "relaxed", "cell": [[7.620, 0.000, 0.000], [-3.810, 6.599, 0.000], [0.000, 0.000, 5.975]], "species": ["Ac", "Ac", "Pm", "Pm", "Pm", "Pm", "Pm", "Pm"], "frac_coords": [[0.333, 0.667, 0.250], [0.667, 0.333, 0.750], [0.163, 0.327, 0.750], [0.163, 0.837, 0.750], [0.327, 0.163, 0.250], [0.673, 0.837, 0.750], [0.837, 0.163, 0.250], [0.837, 0.673, 0.250]], "formation_energy_ev_per_fu": 0.15, "de_polymorph_mev_per_atom": 0.0}


{"formula": "Ac3Pr", "functional": "r2SCAN", "state": "relaxed", "cell": [[8.010, 0.000, 0.000], [-4.005, 6.937, 0.000], [0.000, 0.000, 6.359]], "species": ["Ac", "Ac", "Ac", "Ac", "Ac", "Ac", "Pr", "Pr"], "frac_coords": [[0.168, 0.337, 0.250], [0.168, 0.832, 0.250], [0.337, 0.168, 0.750], [0.663, 0.832, 0.250], [0.832, 0.168, 0.750], [0.832, 0.663, 0.750], [0.333, 0.667, 0.750], [0.667, 0.333, 0.250]], "formation_energy_ev_per_fu": 0.07}


{"formula": "RbAcTe2", "functional": "r2SCAN", "state": "relaxed", "cell": [[0.000, 4.152, 4.152], [4.152, 0.000, 4.152], [4.152, 4.152, 0.000]], "species": ["Rb", "Ac", "Te", "Te"], "frac_coords": [[0.000, 0.000, 0.000], [0.500, 0.500, 0.500], [0.250, 0.250, 0.250], [0.750, 0.750, 0.750]], "formation_energy_ev_per_fu": -6.14}


{"formula": "AcYbRh2", "functional": "r2SCAN", "state": "relaxed", "cell": [[0.000, 3.529, 3.529], [3.529, 0.000, 3.529], [3.529, 3.529, 0.000]], "species": ["Ac", "Yb", "Rh", "Rh"], "frac_coords": [[0.000, 0.000, 0.000], [0.500, 0.500, 0.500], [0.250, 0.250, 0.250], [0.750, 0.750, 0.750]], "formation_energy_ev_per_fu": -2.70}


{"formula": "Ac2ZnSn", "functional": "r2SCAN", "state": "relaxed", "cell": [[0.000, 4.014, 4.014], [4.014, 0.000, 4.014], [4.014, 4.014, 0.000]], "species": ["Ac", "Ac", "Zn", "Sn"], "frac_coords": [[0.250, 0.250, 0.250], [0.750, 0.750, 0.750], [0.000, 0.000, 0.000], [0.500, 0.500, 0.500]], "formation_energy_ev_per_fu": -1.97}


{"formula": "AcTlTe2", "functional": "r2SCAN", "state": "relaxed", "cell": [[0.000, 4.074, 4.074], [4.074, 0.000, 4.074], [4.074, 4.074, 0.000]], "species": ["Ac", "Tl", "Te", "Te"], "frac_coords": [[0.000, 0.000, 0.000], [0.500, 0.500, 0.500], [0.250, 0.250, 0.250], [0.750, 0.750, 0.750]], "formation_energy_ev_per_fu": -5.01}


{"formula": "Ac3Tl", "functional": "r2SCAN", "state": "relaxed", "cell": [[7.765, 0.000, 0.000], [-3.882, 6.725, 0.000], [0.000, 0.000, 5.922]], "species": ["Ac", "Ac", "Ac", "Ac", "Ac", "Ac", "Tl", "Tl"], "frac_coords": [[0.177, 0.354, 0.250], [0.177, 0.823, 0.250], [0.354, 0.177, 0.750], [0.646, 0.823, 0.250], [0.823, 0.177, 0.750], [0.823, 0.646, 0.750], [0.333, 0.667, 0.750], [0.667, 0.333, 0.250]], "formation_energy_ev_per_fu": -0.66}


{"formula": "AcYbTl2", "functional": "r2SCAN", "state": "relaxed", "cell": [[0.000, 3.936, 3.936], [3.936, 0.000, 3.936], [3.936, 3.936, 0.000]], "species": ["Ac", "Yb", "Tl", "Tl"], "frac_coords": [[0.000, 0.000, 0.000], [0.500, 0.500, 0.500], [0.250, 0.250, 0.250], [0.750, 0.750, 0.750]], "formation_energy_ev_per_fu": -1.51}


{"formula": "AcY3", "functional": "r2SCAN", "state": "relaxed", "cell": [[-2.652, 2.652, 5.132], [2.652, -2.652, 5.132], [2.652, 2.652, -5.132]], "species": ["Ac", "Y", "Y", "Y"], "frac_coords": [[0.000, 0.000, 0.000], [0.250, 0.750, 0.500], [0.500, 0.500, 0.000], [0.750, 0.250, 0.500]], "formation_energy_ev_per_fu": 0.39}


{"formula": "Ac3Y", "functional": "r2SCAN", "state": "relaxed", "cell": [[7.922, 0.000, 0.000], [-3.961, 6.861, 0.000], [0.000, 0.000, 6.298]], "species": ["Ac", "Ac", "Ac", "Ac", "Ac", "Ac", "Y", "Y"], "frac_coords": [[0.169, 0.339, 0.250], [0.169, 0.831, 0.250], [0.339, 0.169, 0.750], [0.661, 0.831, 0.250], [0.831, 0.169, 0.750], [0.831, 0.661, 0.750], [0.333, 0.667, 0.750], [0.667, 0.333, 0.250]], "formation_energy_ev_per_fu": 0.19}


{"formula": "AcY3", "functional": "r2SCAN", "state": "relaxed", "cell": [[5.240, 0.000, 0.000], [0.000, 5.240, 0.000], [0.000, 0.000, 5.240]], "species": ["Ac", "Y", "Y", "Y"], "frac_coords": [[0.000, 0.000, 0.000], [0.000, 0.500, 0.500], [0.500, 0.000, 0.500], [0.500, 0.500, 0.000]], "formation_energy_ev_per_fu": 0.38}


{"formula": "Ac3Y", "functional": "r2SCAN", "state": "relaxed", "cell": [[-2.789, 2.789, 5.454], [2.789, -2.789, 5.454], [2.789, 2.789, -5.454]], "species": ["Ac", "Ac", "Ac", "Y"], "frac_coords": [[0.000, 0.000, 0.000], [0.250, 0.750, 0.500], [0.750, 0.250, 0.500], [0.500, 0.500, 0.000]], "formation_energy_ev_per_fu": 0.23}


{"formula": "AlAg2", "functional": "r2SCAN", "state": "relaxed", "cell": [[4.355, -2.470, 0.000], [4.355, 2.470, 0.000], [0.000, 0.000, 4.585]], "species": ["Al", "Al", "Ag", "Ag", "Ag", "Ag"], "frac_coords": [[0.178, 0.822, 0.750], [0.822, 0.178, 0.250], [0.154, 0.524, 0.250], [0.476, 0.846, 0.250], [0.524, 0.154, 0.750], [0.846, 0.476, 0.750]], "formation_energy_ev_per_fu": -0.17}


{"formula": "AlAg3", "functional": "r2SCAN", "state": "relaxed", "cell": [[4.922, 2.842, 3.994], [-4.922, 2.842, 3.994], [0.000, -5.684, 3.994]], "species": ["Al", "Al", "Al", "Al", "Al", "Ag", "Ag", "Ag", "Ag", "Ag", "Ag", "Ag", "Ag", "Ag", "Ag", "Ag", "Ag", "Ag", "Ag", "Ag"], "frac_coords": [[0.000, 0.000, 0.000], [0.112, 0.627, 0.502], [0.368, 0.368, 0.368], [0.502, 0.112, 0.627], [0.627, 0.502, 0.112], [0.010, 0.349, 0.192], [0.111, 0.270, 0.669], [0.192, 0.010, 0.349], [0.245, 0.874, 0.750], [0.270, 0.669, 0.111], [0.349, 0.192, 0.010], [0.438, 0.508, 0.759], [0.508, 0.759, 0.438], [0.608, 0.854, 0.939], [0.669, 0.111, 0.270], [0.750, 0.245, 0.874], [0.759, 0.438, 0.508], [0.854, 0.939, 0.608], [0.874, 0.750, 0.245], [0.939, 0.608, 0.854]], "formation_energy_ev_per_fu": -0.29}


{"formula": "CeAl3Ag", "functional": "r2SCAN", "state": "relaxed", "cell": [[0.000, 3.047, 5.545], [3.042, 0.000, 5.545], [3.042, 3.047, 0.000]], "species": ["Ce", "Al", "Al", "Al", "Ag"], "frac_coords": [[0.000, 0.000, 0.000], [0.237, 0.237, 0.263], [0.592, 0.592, 0.408], [0.737, 0.737, 0.763], [0.365, 0.365, 0.635]], "formation_energy_ev_per_fu": -2.17}


{"formula": "DyAlAg2", "functional": "r2SCAN", "state": "relaxed", "cell": [[0.000, 3.390, 3.390], [3.390, 0.000, 3.390], [3.390, 3.390, 0.000]], "species": ["Dy", "Al", "Ag", "Ag"], "frac_coords": [[0.000, 0.000, 0.000], [0.500, 0.500, 0.500], [0.250, 0.250, 0.250], [0.750, 0.750, 0.750]], "formation_energy_ev_per_fu": -1.42}


{"formula": "ErAlAg2", "functional": "r2SCAN", "state": "relaxed", "cell": [[0.000, 3.369, 3.369], [3.369, 0.000, 3.369], [3.369, 3.369, 0.000]], "species": ["Er", "Al", "Ag", "Ag"], "frac_coords": [[0.000, 0.000, 0.000], [0.500, 0.500, 0.500], [0.250, 0.250, 0.250], [0.750, 0.750, 0.750]], "formation_energy_ev_per_fu": -1.41}


{"formula": "Gd3Al7Ag2", "functional": "r2SCAN", "state": "relaxed", "cell": [[2.775, 1.602, 8.803], [-2.775, 1.602, 8.803], [0.000, -3.205, 8.803]], "species": ["Gd", "Gd", "Gd", "Al", "Al", "Al", "Al", "Al", "Al", "Al", "Ag", "Ag"], "frac_coords": [[0.000, 0.000, 0.000], [0.143, 0.143, 0.143], [0.857, 0.857, 0.857], [0.076, 0.586, 0.586], [0.414, 0.414, 0.924], [0.414, 0.924, 0.414], [0.500, 0.500, 0.500], [0.586, 0.076, 0.586], [0.586, 0.586, 0.076], [0.924, 0.414, 0.414], [0.336, 0.336, 0.336], [0.664, 0.664, 0.664]], "formation_energy_ev_per_fu": -5.86}